[1]
PBE CdPS3, relaxed; E_form = -0.707 eV per atom; energy = -41.54 eV/cell
1.0
0.797 5.302 -3.306
4.845 3.815 1.286
4.393 -1.911 -5.891
Cd P S
2 2 6
Direct
0.333 0.334 0.000 Cd
0.667 0.666 0.000 Cd
0.050 0.000 0.846 P
0.950 0.000 0.154 P
0.386 0.689 0.767 S
0.925 0.689 0.233 S
0.236 0.000 0.233 S
0.764 0.000 0.767 S
0.614 0.311 0.233 S
0.075 0.311 0.767 S

=====

[2]
PBE CdPS3, relaxed; E_form = -0.707 eV per atom; energy = -41.54 eV/cell
1.0
-7.760 2.173 -1.502
-5.845 -2.619 -5.115
-7.296 -3.618 0.933
Cd P S
2 2 6
Direct
0.667 0.667 0.667 Cd
0.333 0.333 0.333 Cd
0.949 0.949 0.949 P
0.051 0.051 0.051 P
0.234 0.921 0.612 S
0.921 0.612 0.234 S
0.388 0.766 0.079 S
0.766 0.079 0.388 S
0.079 0.388 0.766 S
0.612 0.234 0.921 S

=====

[3]
PBE CdSiP2, relaxed; maximum piezoelectric response = 0.15 C/m²; E_form = -0.197 eV per atom; energy = -35.92 eV/cell
1.0
-2.918 2.624 5.384
-4.524 4.269 -2.389
0.956 -6.409 -1.553
Cd Si P
2 2 4
Direct
0.750 0.250 0.500 Cd
0.000 0.000 0.000 Cd
0.500 0.500 0.000 Si
0.250 0.750 0.500 Si
0.875 0.828 0.453 P
0.172 0.625 0.047 P
0.375 0.422 0.547 P
0.578 0.125 0.953 P

=====

[4]
PBE CdSiP2, relaxed; E_form = 0.600 eV per atom; energy = -14.77 eV/cell
1.0
2.344 -3.942 0.501
0.443 -1.905 4.178
-2.242 -3.905 1.004
Cd Si P
1 1 2
Direct
0.000 0.000 0.000 Cd
0.500 0.500 0.500 Si
0.750 0.750 0.750 P
0.250 0.250 0.250 P

=====

[5]
PBE CdSnP2, relaxed; maximum piezoelectric response = 0.19 C/m²; E_form = -0.095 eV per atom; energy = -32.28 eV/cell
1.0
-2.993 2.993 5.862
2.993 -2.993 5.862
2.993 2.993 -5.862
Cd Sn P
2 2 4
Direct
0.000 0.000 0.000 Cd
0.750 0.250 0.500 Cd
0.250 0.750 0.500 Sn
0.500 0.500 0.000 Sn
0.618 0.625 0.493 P
0.375 0.868 0.993 P
0.132 0.125 0.507 P
0.875 0.382 0.007 P

=====

[6]
PBE Pa3Cd, relaxed; E_form = 0.198 eV per atom; energy = -28.68 eV/cell
1.0
-1.701 -3.228 2.842
2.903 1.394 3.320
-3.174 3.005 1.514
Pa Cd
3 1
Direct
0.500 0.500 0.000 Pa
0.500 0.000 0.500 Pa
0.000 0.500 0.500 Pa
0.000 0.000 0.000 Cd

=====

Which of these has the highest E_form?
number 4

=====

Number 1 is which compound?
CdPS3

=====

What did the fifth record say?
PBE CdSnP2, relaxed; maximum piezoelectric response = 0.19 C/m²; E_form = -0.095 eV per atom; energy = -32.28 eV/cell
1.0
-2.993 2.993 5.862
2.993 -2.993 5.862
2.993 2.993 -5.862
Cd Sn P
2 2 4
Direct
0.000 0.000 0.000 Cd
0.750 0.250 0.500 Cd
0.250 0.750 0.500 Sn
0.500 0.500 0.000 Sn
0.618 0.625 0.493 P
0.375 0.868 0.993 P
0.132 0.125 0.507 P
0.875 0.382 0.007 P